DFT (PBE) results for a relaxed structure of LuMn2.

abc: 4.986 4.986 8.442
angles: 90.00 90.00 119.88
Element x y z (fractional)
Lu 0.167 0.833 0.564
Lu 0.167 0.833 0.936
Lu 0.833 0.167 0.064
Lu 0.833 0.167 0.436
Mn 0.158 0.331 0.750
Mn 0.329 0.671 0.250
Mn 0.331 0.158 0.250
Mn 0.500 0.500 0.000
Mn 0.500 0.500 0.500
Mn 0.669 0.842 0.750
Mn 0.671 0.329 0.750
Mn 0.842 0.669 0.250

Values from the calculation:
Crystal system ... orthorhombic
Volume ... 181.9 Å³ per cell
Total DFT energy (no corrections) ... -7.61 eV/atom
Formation energy ... 0.00 eV/atom
Space-group type ... Cmcm
Magnetization ... 0.94 Bohr magnetons per cell